{"formula": "CrN2", "functional": "PBE", "state": "relaxed", "lattice_angstrom": [[-4.031, -0.102, -2.317], [1.033, -4.239, -1.610], [-1.184, -1.090, 2.109]], "species": ["Cr", "Cr", "N", "N", "N", "N"], "fractional_positions": [[0.000, 0.000, 0.000], [0.500, 0.500, 0.500], [0.201, 0.799, 0.500], [0.701, 0.701, 0.000], [0.299, 0.299, 0.000], [0.799, 0.201, 0.500]], "total_energy_ev_per_atom": -8.481, "e_form_ev_per_atom": 0.054, "m_tot_mub_per_cell": 0.004}